Entry 1:
The following is a PBE calculation of a relaxed structure of CeHf2F11, from the Materials Project database.

Properties
Crystal system   orthorhombic
DFT total energy   -7.213 eV per atom
Energy relative to the elements   -4.225 eV per atom

Cell: 8.4646 8.4646 8.4646 Å, 125.12 106.77 97.83°
Positions (direct):
Ce  0.7500  0.2500  0.5000
Ce  0.2500  0.7500  0.5000
Hf  0.6809  0.6336  0.3145
Hf  0.3191  0.3664  0.6855
Hf  0.1809  0.8664  0.0472
Hf  0.8191  0.1336  0.9528
F  0.7055  0.8913  0.3399
F  0.2945  0.1087  0.6601
F  0.5514  0.3655  0.6601
F  0.9486  0.6087  0.8142
F  0.4486  0.6345  0.3399
F  0.0514  0.3913  0.1858
F  0.7945  0.1345  0.1858
F  0.2055  0.8655  0.8142
F  0.5000  0.5000  0.0000
F  0.0000  0.0000  0.0000
F  0.7793  0.8705  0.6499
F  0.2207  0.1295  0.3501
F  0.2793  0.6295  0.9088
F  0.7207  0.3705  0.0912
F  0.9486  0.7373  0.4160
F  0.0514  0.2627  0.5840
F  0.3214  0.5327  0.5840
F  0.1786  0.7627  0.2113
F  0.6786  0.4673  0.4160
F  0.8214  0.2373  0.7887
F  0.5514  0.9673  0.7887
F  0.4486  0.0327  0.2113

=====

Entry 2:
The following is a PBE calculation of a relaxed structure of NaCd3, from the Materials Project database.

Properties
Crystal system   cubic
DFT total energy   -1.099 eV per atom
Energy relative to the elements   -0.076 eV per atom

Cell: 5.1146 5.1146 5.1146 Å, 60.00 60.00 60.00°
Positions (direct):
Na  0.0000  0.0000  0.0000
Cd  0.2500  0.2500  0.2500
Cd  0.7500  0.7500  0.7500
Cd  0.5000  0.5000  0.5000